Computed, not measured: an optimized crystal structure of Cs2RbGdCl6 at the PBE level of DFT.

abc: 11.6257 11.6257 11.6257
angles: 90.00 90.00 90.00
Last column: nearest neighbours and their distance in Å.
Space group Fm-3m (No. 225)
Unique sites:
Cs 0.2500 0.2500 0.2500 (multiplicity 8)  12 Cl 4.12
Rb 0.0000 0.0000 0.0000 (multiplicity 4)  6 Cl 3.14
Gd 0.0000 0.0000 0.5000 (multiplicity 4)  6 Cl 2.67
Cl 0.0000 0.0000 0.2702 (multiplicity 24)  1 Gd 2.67

Computed properties:
- Formation energy from the elements: -2409 kJ/mol of formula units
- V: 1571 Å³ per cell
- Energy: -196.88 eV for the cell shown